Entry 1:
# Sr2EuTaCu2O8, relaxed, DFT PBE
data_Sr2EuTaCu2O8
_chemical_formula_sum 'Sr2 Eu1 Ta1 Cu2 O8'
_space_group_name_H-M_alt 'P 1'
_space_group_IT_number 1
_space_group_name_Hall 'P 1'
_cell_length_a 11.797
_cell_length_b 3.931
_cell_length_c 3.931
_cell_angle_alpha 90.19
_cell_angle_beta 90.00
_cell_angle_gamma 90.00
loop_
_atom_site_label
_atom_site_fract_x
_atom_site_fract_y
_atom_site_fract_z
Sr1 0.201 0.000 0.000
Sr2 0.799 0.000 0.000
Eu1 0.500 0.001 0.001
Ta1 0.000 0.519 0.519
Cu1 0.356 0.501 0.501
Cu2 0.644 0.501 0.501
O1 0.000 0.026 0.551
O2 0.000 0.551 0.026
O3 0.168 0.515 0.515
O4 0.368 0.002 0.501
O5 0.368 0.501 0.002
O6 0.632 0.002 0.501
O7 0.632 0.501 0.002
O8 0.832 0.515 0.515
# energy of formation from the pure elements: -2.656 eV per atom
# space-group type: No. 38
# electronic total energy: -7.50 eV/atom



Entry 2:
# Ba8Mn3N8, relaxed, DFT PBE
data_Ba8Mn3N8
_chemical_formula_sum 'Ba8 Mn3 N8'
_space_group_name_H-M_alt 'P 1'
_space_group_IT_number 1
_space_group_name_Hall 'P 1'
_cell_length_a 10.422
_cell_length_b 10.422
_cell_length_c 7.966
_cell_angle_alpha 105.79
_cell_angle_beta 105.79
_cell_angle_gamma 31.67
loop_
_atom_site_label
_atom_site_fract_x
_atom_site_fract_y
_atom_site_fract_z
Ba1 0.029 0.029 0.274
Ba2 0.201 0.201 0.805
Ba3 0.333 0.333 0.531
Ba4 0.400 0.400 0.055
Ba5 0.600 0.600 0.945
Ba6 0.667 0.667 0.469
Ba7 0.799 0.799 0.195
Ba8 0.971 0.971 0.726
Mn1 0.185 0.185 0.202
Mn2 0.500 0.500 0.500
Mn3 0.815 0.815 0.798
N1 0.111 0.111 0.022
N2 0.179 0.179 0.412
N3 0.268 0.268 0.167
N4 0.478 0.478 0.695
N5 0.522 0.522 0.305
N6 0.732 0.732 0.833
N7 0.821 0.821 0.588
N8 0.889 0.889 0.978
# energy of formation from the pure elements: -0.738 eV per atom
# space-group type: No. 12
# electronic total energy: -6.35 eV/atom



Entry 3:
# As2S3, relaxed, DFT PBE
data_As2S3
_chemical_formula_sum 'As8 S12'
_space_group_name_H-M_alt 'P 1'
_space_group_IT_number 1
_space_group_name_Hall 'P 1'
_cell_length_a 5.879
_cell_length_b 9.118
_cell_length_c 11.033
_cell_angle_alpha 79.05
_cell_angle_beta 76.79
_cell_angle_gamma 89.98
loop_
_atom_site_label
_atom_site_fract_x
_atom_site_fract_y
_atom_site_fract_z
As1 0.069 0.138 0.326
As2 0.183 0.829 0.169
As3 0.375 0.675 0.827
As4 0.391 0.360 0.677
As5 0.609 0.640 0.323
As6 0.625 0.325 0.173
As7 0.817 0.171 0.831
As8 0.931 0.862 0.674
S1 0.059 0.269 0.636
S2 0.102 0.077 0.130
S3 0.246 0.374 0.255
S4 0.256 0.427 0.871
S5 0.299 0.770 0.633
S6 0.496 0.875 0.248
S7 0.504 0.125 0.752
S8 0.701 0.230 0.367
S9 0.744 0.573 0.129
S10 0.754 0.626 0.745
S11 0.898 0.923 0.870
S12 0.941 0.731 0.364
# energy of formation from the pure elements: -0.426 eV per atom
# space-group type: No. 2
# electronic total energy: -4.47 eV/atom